(1)
FeSO6 | PBE with a Hubbard U | optimized geometry

The structure in extended XYZ format:
```
32
Lattice="9.419 0.000 0.000 0.000 7.080 0.000 0.000 5.685 9.176" Properties=species:S:1:pos:R:3 pbc="T T T"
O 1.562 4.716 1.702
O 7.856 8.050 7.474
Fe 6.579 7.950 2.897
O 6.393 3.908 0.761
O 1.684 6.015 3.827
S 0.970 5.624 2.644
O 0.346 6.623 6.775
O 6.272 5.207 2.886
O 7.735 6.751 5.349
O 9.073 6.142 2.401
O 3.026 8.857 8.415
O 2.982 5.029 7.880
O 1.728 2.186 3.292
Fe 2.840 4.815 6.279
S 8.449 7.141 6.532
O 0.539 1.909 0.767
O 6.437 7.736 1.296
O 7.691 10.579 5.884
Fe 7.550 10.793 7.485
O 5.056 8.985 6.989
O 3.147 7.558 6.290
O 4.363 3.780 2.187
S 5.679 4.299 1.944
O 1.698 3.735 5.867
O 6.408 11.873 7.897
O 5.249 8.014 3.821
O 3.011 0.893 1.279
O 8.880 10.856 8.409
O 7.720 9.030 3.309
O 4.170 4.752 5.355
Fe 1.869 1.973 1.691
S 3.740 8.466 7.232
```

Properties
Energy of formation from the pure elements = -0.809 eV per atom
Density = 2.00 Mg/m³
E = -169.5 eV for the cell shown
MP2020-corrected energy = -6.10 eV/atom
SG = P2_1/c, No. 14
V = 612 Å³/cell

(2)
FeS2O8 | PBE with a Hubbard U | optimized geometry

The structure in extended XYZ format:
```
33
Lattice="0.065 8.391 3.162 -7.338 5.096 0.768 -3.606 2.398 7.852" Properties=species:S:1:pos:R:3 pbc="T T T"
O -3.842 8.292 9.883
O -3.063 7.238 5.156
O -5.487 6.737 8.968
O -5.938 10.570 5.902
S -4.794 11.405 5.409
O -7.886 8.620 6.732
S -8.976 8.280 5.761
O -3.560 10.632 5.496
O -7.397 5.260 6.221
O -5.525 9.061 8.319
O -4.810 4.272 3.042
Fe -3.875 5.658 4.196
Fe -9.259 13.519 10.027
O -6.097 11.707 8.555
O -8.400 8.106 4.432
Fe -7.001 10.222 7.582
O -5.091 11.803 3.996
S -5.258 8.099 9.438
O -2.670 4.256 5.039
O -5.889 4.032 7.682
O -6.917 7.664 1.836
S -5.571 7.805 2.357
O -8.338 11.474 6.799
O -9.641 7.025 6.236
O -5.294 6.925 3.519
O -2.489 7.722 7.434
S -1.925 7.563 6.050
O -2.515 6.065 2.743
O -5.035 5.390 5.828
S -6.108 4.494 6.325
O -8.182 9.844 9.140
O -1.198 8.753 5.648
O -5.317 9.216 2.809
```

Properties
Energy of formation from the pure elements = -1.639 eV per atom
Density = 2.66 Mg/m³
E = -199.8 eV for the cell shown
MP2020-corrected energy = -6.76 eV/atom
SG = R3, No. 146
Offset from the most stable computed form = 0.000 eV/atom
V = 465 Å³/cell

(3)
FeSO5 | PBE with a Hubbard U | optimized geometry

The structure in extended XYZ format:
```
14
Lattice="-1.894 4.828 -0.903 1.280 0.610 5.069 6.107 -1.175 -4.077" Properties=species:S:1:pos:R:3 pbc="T T T"
Fe -0.947 2.414 -0.451
Fe 3.694 -0.283 0.496
O 4.828 1.100 0.070
O 2.405 3.455 -2.071
O 3.088 0.808 2.161
O 0.330 4.077 2.899
S 2.969 3.570 -3.427
O 1.281 1.480 3.597
O 5.163 0.186 -2.808
O 0.665 3.162 0.021
O 3.267 3.644 0.642
O 2.226 0.619 -0.551
S 2.524 0.693 3.517
O 4.212 2.783 -3.506
```

Properties
Energy of formation from the pure elements = -1.537 eV per atom
Density = 3.23 Mg/m³
E = -84.8 eV for the cell shown
MP2020-corrected energy = -6.87 eV/atom
SG = C2/c, No. 15
Offset from the most stable computed form = 0.000 eV/atom
V = 173 Å³/cell

(4)
Fe2S3O12 | PBE with a Hubbard U | optimized geometry

The structure in extended XYZ format:
```
34
Lattice="7.411 0.000 -3.888 2.686 6.908 -3.888 2.658 6.889 5.066" Properties=species:S:1:pos:R:3 pbc="T T T"
O 4.997 3.797 -2.188
O 5.630 5.381 -3.944
S 11.250 10.629 -3.002
S 5.414 5.187 -2.485
Fe 3.529 2.415 -2.279
O 4.192 6.811 0.567
S 8.349 7.162 -4.733
O 2.571 3.282 -0.730
O 7.567 3.298 -4.213
O 7.228 8.115 -4.907
O 7.757 10.001 -0.523
O 8.395 7.666 -0.651
O 5.527 5.681 2.197
O 1.731 4.235 1.294
O 10.182 10.514 -1.980
O 4.360 6.131 -2.059
O 4.704 7.939 2.676
O 3.181 6.090 2.649
O 6.092 8.346 -0.981
Fe 4.139 7.902 -1.119
O 4.257 8.750 -2.945
O 8.497 5.047 0.235
S 4.405 6.635 2.023
O 8.562 6.985 -3.277
O 9.573 7.705 -5.359
Fe 8.615 5.895 -1.593
O 5.188 10.499 1.503
S 1.505 3.167 0.291
O 11.024 9.562 -4.005
Fe 9.225 11.382 -0.430
O 7.125 8.415 1.235
O 6.662 5.449 -1.730
S 7.340 8.610 -0.225
O 8.050 5.859 -5.385
```

Properties
Energy of formation from the pure elements = -1.830 eV per atom
Density = 2.90 Mg/m³
E = -214.2 eV for the cell shown
MP2020-corrected energy = -7.05 eV/atom
SG = R-3, No. 148
Offset from the most stable computed form = 0.000 eV/atom
V = 457 Å³/cell

(5)
FeSO5 | PBE with a Hubbard U | optimized geometry

The structure in extended XYZ format:
```
14
Lattice="-3.136 -3.682 -1.940 3.136 -3.682 1.940 -3.019 3.682 5.492" Properties=species:S:1:pos:R:3 pbc="T T T"
S -1.539 -4.579 0.888
O -1.480 -3.144 4.604
O -2.055 0.007 3.581
O -1.539 -0.538 0.888
O -0.476 -5.436 0.277
Fe 0.000 0.000 0.000
Fe -3.077 0.000 1.776
O -2.114 -3.689 -0.136
O -3.554 -1.928 2.053
O -2.542 1.754 5.215
S -1.480 0.897 4.604
O 0.535 -1.754 3.439
O -0.905 0.007 5.628
O -0.963 -3.689 1.912
```

Properties
Energy of formation from the pure elements = -1.528 eV per atom
Density = 3.28 Mg/m³
E = -84.7 eV for the cell shown
MP2020-corrected energy = -6.86 eV/atom
SG = C2/c, No. 15
Offset from the most stable computed form = 0.009 eV/atom
V = 170 Å³/cell

(6)
Fe2S3O12 | PBE with a Hubbard U | optimized geometry

The structure in extended XYZ format:
```
68
Lattice="8.662 0.000 0.000 0.000 8.447 0.000 0.000 8.321 11.865" Properties=species:S:1:pos:R:3 pbc="T T T"
O 4.288 7.212 9.024
O 4.518 5.954 3.311
S 2.184 8.069 5.979
O 6.297 13.877 8.101
O 3.607 13.122 8.028
O 7.174 14.059 11.258
O 5.306 7.906 1.351
S 2.147 3.909 0.046
O 4.375 9.556 2.842
O 7.687 12.066 7.284
O 0.043 3.051 3.091
O 5.819 9.898 5.325
Fe 0.298 10.457 7.293
O 1.175 13.005 11.109
O 1.107 7.633 5.060
Fe 8.364 6.311 4.572
O 1.488 2.709 0.608
O 2.843 6.869 6.541
O 7.914 9.494 11.505
O 3.156 8.844 5.176
O 3.583 11.434 6.293
Fe 4.629 10.471 10.505
O 5.079 5.333 5.573
O 6.696 9.717 2.168
O 3.356 8.862 10.514
O 3.224 11.793 10.993
S 6.515 12.859 11.819
O 7.555 9.135 6.805
O 4.928 1.751 0.589
Fe 4.033 6.296 1.361
O 7.024 7.879 4.775
O 8.065 5.912 6.521
O 7.938 7.806 9.770
Fe 0.285 14.676 10.497
O 5.055 3.646 3.837
S 7.636 9.221 10.082
O 2.365 2.891 3.765
O 0.187 6.653 2.621
O 2.472 7.340 2.068
O 0.748 7.274 0.360
O 0.975 4.701 4.582
O 4.144 10.813 8.554
S 5.357 5.061 4.149
O 1.859 11.501 8.001
O 5.969 12.040 10.707
S 7.663 13.503 7.665
O 1.966 7.051 9.697
O 7.487 3.763 0.756
O 1.638 8.888 7.091
S 3.332 7.425 10.133
S 5.330 9.343 1.733
O 0.724 8.962 2.095
O 8.619 13.716 8.774
O 8.476 10.115 9.244
Fe 4.616 6.252 7.302
O 5.438 4.975 0.873
O 0.597 10.856 5.344
O 3.734 15.016 11.277
O 5.506 7.923 6.689
O 6.190 9.427 9.798
S 1.026 7.546 1.784
S 6.478 8.698 5.886
O 2.693 4.728 1.158
S 3.305 11.707 7.716
Fe 4.046 10.516 4.564
S 0.999 3.264 4.200
Fe 8.377 2.091 1.369
O 6.803 5.267 3.865
```

Properties
Energy of formation from the pure elements = -1.823 eV per atom
Density = 3.06 Mg/m³
E = -427.8 eV for the cell shown
MP2020-corrected energy = -7.04 eV/atom
SG = P2_1/c, No. 14
Offset from the most stable computed form = 0.007 eV/atom
V = 868 Å³/cell

(7)
FeSO5 | PBE with a Hubbard U | optimized geometry

The structure in extended XYZ format:
```
28
Lattice="-3.060 -0.829 5.673 6.146 -1.870 3.042 1.288 7.036 1.722" Properties=species:S:1:pos:R:3 pbc="T T T"
O 2.403 1.001 1.955
S 4.770 -0.928 4.299
O 5.495 2.921 5.252
O 1.765 -0.538 6.457
O -1.121 1.417 5.186
Fe 3.392 -0.511 7.339
O -0.449 -0.183 1.592
O 4.823 4.520 8.846
O 3.270 1.492 7.565
O 1.971 3.336 8.483
S 2.007 1.700 3.192
S -0.396 5.265 6.139
O 0.808 5.769 6.862
O 3.566 -1.432 3.576
O -1.103 4.265 6.960
O 1.105 2.845 2.873
Fe 4.049 3.883 4.613
O 3.226 2.172 3.919
O 3.080 3.636 6.428
O 2.609 4.875 3.981
Fe 0.325 0.455 5.825
O 0.006 4.565 4.905
S 2.367 2.637 7.246
Fe 0.982 4.849 3.099
O 4.368 -0.228 5.533
O 1.148 2.165 6.519
O 1.294 0.701 4.010
O 5.477 0.073 3.478
```

Properties
Energy of formation from the pure elements = -1.527 eV per atom
Density = 3.28 Mg/m³
E = -169.4 eV for the cell shown
MP2020-corrected energy = -6.86 eV/atom
SG = Pnma, No. 62
Offset from the most stable computed form = 0.010 eV/atom
V = 340 Å³/cell

(8)
FeS2O9 | PBE with a Hubbard U | optimized geometry

The structure in extended XYZ format:
```
12
Lattice="-2.473 0.005 4.303 2.478 0.045 4.309 0.072 8.182 2.892" Properties=species:S:1:pos:R:3 pbc="T T T"
S 1.323 6.526 6.486
O -1.286 3.172 4.972
O -0.273 7.044 9.700
Fe -1.237 0.002 2.152
O 0.151 1.239 5.258
O 0.350 1.188 1.805
O -0.074 6.993 6.246
S -1.246 1.706 5.019
O 1.797 7.060 7.798
O -1.720 1.173 3.706
O 1.275 4.114 3.601
O 1.363 5.060 6.533
```

Properties
Energy of formation from the pure elements = -1.335 eV per atom
Density = 2.52 Mg/m³
E = -68.9 eV for the cell shown
MP2020-corrected energy = -6.44 eV/atom
SG = P-1, No. 2
V = 174 Å³/cell

(9)
Fe2S3O23 | PBE with a Hubbard U | optimized geometry

The structure in extended XYZ format:
```
56
Lattice="6.527 0.000 0.000 -1.961 6.759 0.000 -2.426 -1.837 25.034" Properties=species:S:1:pos:R:3 pbc="T T T"
O 2.053 2.223 4.474
O 0.516 2.192 16.158
O -1.147 5.457 5.602
S -2.273 4.164 14.455
O -0.271 0.477 2.995
O 0.406 4.497 18.014
O 3.138 4.862 13.814
Fe 0.801 4.936 9.385
O 0.451 5.595 0.878
S -0.894 5.874 6.986
O -0.246 0.589 23.503
O 4.693 1.951 2.066
S 3.035 -0.952 18.048
O 0.804 3.990 11.275
O -1.546 5.155 15.388
O 1.398 5.911 3.097
O 3.687 -0.233 9.645
O -1.302 3.657 13.477
O 4.768 1.379 5.887
O 4.295 -1.008 17.283
S 0.989 -0.048 23.028
O 3.288 -0.535 19.431
O 1.735 0.425 7.020
O -0.127 1.670 19.926
O 0.025 4.822 7.645
O 2.412 4.445 22.038
Fe -0.202 2.103 2.349
O 0.088 2.699 20.560
O 1.302 3.418 23.835
O 3.781 3.056 15.295
O 0.743 -0.989 21.937
Fe 1.340 -0.014 15.648
O 2.116 0.100 17.388
O 1.625 2.730 8.876
O 2.651 3.077 8.266
Fe 2.343 2.819 22.685
O -2.552 2.971 22.967
O 2.267 3.252 5.108
O -1.641 1.866 9.739
O -1.162 2.325 5.382
O -0.510 1.845 16.768
S 4.414 0.758 10.579
O -2.627 3.543 19.146
O -0.997 0.060 11.220
O 1.922 1.043 22.420
O 2.489 0.368 13.995
O 1.337 0.932 13.759
O -2.154 5.929 7.750
O 1.690 -0.673 24.155
O 2.387 4.332 1.531
O 3.443 1.265 11.556
O 0.219 3.879 2.613
S 1.152 4.970 2.006
O 0.839 1.504 1.199
O 3.303 2.597 19.651
O -0.348 4.554 11.039
```

Properties
Energy of formation from the pure elements = -0.518 eV per atom
Density = 1.73 Mg/m³
E = -298.9 eV for the cell shown
MP2020-corrected energy = -5.63 eV/atom
SG = P-1, No. 2
V = 1104 Å³/cell

(10)
FeSO11 | PBE with a Hubbard U | optimized geometry

The structure in extended XYZ format:
```
52
Lattice="-6.494 0.153 -1.304 -0.940 -10.266 3.479 -2.646 0.306 13.217" Properties=species:S:1:pos:R:3 pbc="T T T"
Fe -4.570 0.229 5.957
S -7.208 -3.107 2.879
O -0.830 -2.900 2.749
Fe -1.793 -4.980 8.348
O -3.586 -4.748 8.566
O -9.250 -6.907 12.643
O -4.035 -7.834 6.366
O -5.936 -1.841 11.475
O -8.917 -1.298 11.551
O -2.774 -5.226 12.330
S -2.872 -6.700 12.514
O -6.148 0.077 5.062
O -6.494 -5.059 6.827
O -7.550 -4.298 8.607
O -8.211 -7.065 10.426
O -5.341 -4.054 12.994
O -1.659 -0.671 0.182
Fe -3.717 -5.056 1.088
O -2.327 -6.609 8.942
O -4.770 -3.655 5.669
O -3.312 -0.346 4.794
S -5.261 -1.500 10.200
O -4.144 -7.966 3.918
O -4.380 -1.416 6.696
O -1.913 -1.088 8.571
O -3.914 -2.107 10.235
O -1.869 -2.742 4.967
S -4.819 -8.307 5.192
O -1.162 -8.509 3.841
O -4.154 -7.246 12.021
O -2.289 -5.800 1.890
O -5.926 -2.561 3.371
O -6.045 -1.972 9.027
O -6.768 -9.461 10.598
Fe 0.000 0.000 0.000
O -5.700 -8.390 8.697
O -3.991 -9.229 15.098
O -3.572 -3.308 1.523
O -8.421 -9.136 15.210
O -4.867 -9.783 5.386
O -7.306 -4.581 3.062
O -6.166 -7.699 5.157
O -4.739 -5.753 2.399
O -7.791 -4.007 13.502
O -5.213 -0.024 10.006
O -2.530 -5.508 6.785
O -3.932 -9.884 10.330
O -6.089 -0.577 0.294
O -8.167 -8.719 6.821
O -6.508 -6.498 13.869
O -7.752 -3.198 6.451
O -5.309 -6.152 9.724
```

Properties
Energy of formation from the pure elements = -0.069 eV per atom
Density = 1.90 Mg/m³
E = -232.5 eV for the cell shown
MP2020-corrected energy = -5.23 eV/atom
SG = P2_1/c, No. 14
V = 924 Å³/cell